(1)
VASP calculation (PBE) on an optimized crystal structure of Al2S3.

a b c (Å): 6.847 7.122 22.047
angles (deg): 83.63 83.99 63.53
Positions (direct):
1 Al 0.000 0.000 0.000
2 Al 0.003 0.766 0.345
3 Al 0.231 0.489 0.938
4 Al 0.325 0.330 0.271
5 Al 0.435 0.878 0.848
6 Al 0.501 0.423 0.402
7 Al 0.512 0.146 0.891
8 Al 0.768 0.866 0.658
9 Al 0.841 0.237 0.207
10 Al 0.906 0.290 0.831
11 Al 0.942 0.218 0.381
12 Al 0.960 0.823 0.780
13 S 0.094 0.782 0.684
14 S 0.108 0.664 0.021
15 S 0.128 0.062 0.144
16 S 0.211 0.715 0.852
17 S 0.242 0.191 0.794
18 S 0.288 0.634 0.476
19 S 0.305 0.147 0.363
20 S 0.350 0.608 0.310
21 S 0.465 0.987 0.626
22 S 0.513 0.300 0.181
23 S 0.704 0.163 0.792
24 S 0.745 0.645 0.795
25 S 0.788 0.248 0.932
26 S 0.815 0.587 0.322
27 S 0.827 0.098 0.304
28 S 0.964 0.497 0.234
29 S 0.976 0.225 0.064
30 S 0.988 0.860 0.441

The formation energy is -0.864 eV/atom. Its space group is No. 1.

(2)
VASP calculation (PBE) on an optimized crystal structure of Al2S3.

a b c (Å): 6.610 6.610 17.281
angles (deg): 90.00 90.00 120.00
Positions (direct):
1 Al 0.006 0.306 0.000
2 Al 0.009 0.351 0.366
3 Al 0.301 0.994 0.667
4 Al 0.306 0.301 0.833
5 Al 0.342 0.991 0.032
6 Al 0.351 0.342 0.199
7 Al 0.649 0.658 0.699
8 Al 0.658 0.009 0.532
9 Al 0.694 0.699 0.333
10 Al 0.699 0.006 0.167
11 Al 0.991 0.649 0.866
12 Al 0.994 0.694 0.500
13 S 0.003 0.660 0.998
14 S 0.041 0.706 0.357
15 S 0.045 0.346 0.144
16 S 0.294 0.334 0.690
17 S 0.301 0.955 0.811
18 S 0.334 0.041 0.524
19 S 0.340 0.343 0.331
20 S 0.343 0.003 0.164
21 S 0.346 0.301 0.978
22 S 0.654 0.699 0.478
23 S 0.657 0.997 0.664
24 S 0.660 0.657 0.831
25 S 0.666 0.959 0.024
26 S 0.699 0.045 0.311
27 S 0.706 0.666 0.190
28 S 0.955 0.654 0.644
29 S 0.959 0.294 0.857
30 S 0.997 0.340 0.498

The formation energy is -1.358 eV/atom. Its space group is No. 169.

(3)
VASP calculation (PBE) on an optimized crystal structure of Al2ZnSe2S2.

a b c (Å): 6.339 3.786 6.935
angles (deg): 90.00 90.44 90.00
Positions (direct):
1 Al 0.000 0.000 0.000
2 Al 0.435 0.000 0.321
3 Zn 0.990 0.500 0.515
4 Se 0.833 0.000 0.326
5 Se 0.833 0.500 0.839
6 S 0.345 0.000 0.016
7 S 0.359 0.500 0.501

The formation energy is -1.014 eV/atom. The calculation puts the relative energy among the computed polymorphs at 43.4 meV per atom. Its space group is No. 6.

(4)
VASP calculation (PBE) on an optimized crystal structure of Al2ZnSe2S2.

a b c (Å): 7.688 10.681 5.492
angles (deg): 90.00 134.08 90.00
Positions (direct):
1 Al 0.000 0.000 0.000
2 Al 0.000 0.240 0.500
3 Al 0.500 0.500 0.000
4 Al 0.500 0.740 0.500
5 Zn 0.000 0.499 0.000
6 Zn 0.500 0.999 0.000
7 Se 0.232 0.863 0.488
8 Se 0.268 0.363 0.512
9 Se 0.732 0.363 0.488
10 Se 0.768 0.863 0.512
11 S 0.236 0.125 0.988
12 S 0.264 0.625 0.012
13 S 0.736 0.625 0.988
14 S 0.764 0.125 0.012

The formation energy is -1.057 eV/atom. The calculation puts the relative energy among the computed polymorphs at 0.0 meV per atom. Its space group is No. 5.

(5)
VASP calculation (PBE) on an optimized crystal structure of Sm9AlSi3S21.

a b c (Å): 11.561 11.561 11.561
angles (deg): 97.73 97.73 97.73
Positions (direct):
1 Sm 0.011 0.353 0.132
2 Sm 0.025 0.791 0.662
3 Sm 0.033 0.166 0.802
4 Sm 0.126 0.362 0.489
5 Sm 0.132 0.011 0.353
6 Sm 0.166 0.802 0.033
7 Sm 0.335 0.699 0.464
8 Sm 0.353 0.132 0.011
9 Sm 0.362 0.489 0.126
10 Sm 0.464 0.335 0.699
11 Sm 0.477 0.699 0.819
12 Sm 0.489 0.126 0.362
13 Sm 0.662 0.025 0.791
14 Sm 0.699 0.464 0.335
15 Sm 0.699 0.819 0.477
16 Sm 0.791 0.662 0.025
17 Sm 0.802 0.033 0.166
18 Sm 0.819 0.477 0.699
19 Al 0.407 0.407 0.407
20 Al 0.907 0.907 0.907
21 Si 0.025 0.694 0.357
22 Si 0.192 0.527 0.857
23 Si 0.357 0.025 0.694
24 Si 0.527 0.857 0.192
25 Si 0.694 0.357 0.025
26 Si 0.857 0.192 0.527
27 S 0.013 0.184 0.278
28 S 0.029 0.140 0.555
29 S 0.065 0.408 0.735
30 S 0.098 0.618 0.505
31 S 0.110 0.961 0.875
32 S 0.140 0.555 0.029
33 S 0.174 0.766 0.284
34 S 0.184 0.278 0.013
35 S 0.222 0.460 0.303
36 S 0.224 0.698 0.803
37 S 0.234 0.908 0.566
38 S 0.278 0.013 0.184
39 S 0.284 0.174 0.766
40 S 0.303 0.222 0.460
41 S 0.354 0.503 0.588
42 S 0.364 0.476 0.879
43 S 0.408 0.735 0.065
44 S 0.423 0.953 0.847
45 S 0.460 0.303 0.222
46 S 0.476 0.879 0.364
47 S 0.503 0.588 0.354
48 S 0.505 0.098 0.618
49 S 0.538 0.804 0.633
50 S 0.555 0.029 0.140
51 S 0.566 0.234 0.908
52 S 0.588 0.354 0.503
53 S 0.618 0.505 0.098
54 S 0.633 0.538 0.804
55 S 0.697 0.852 0.937
56 S 0.698 0.803 0.224
57 S 0.735 0.065 0.408
58 S 0.766 0.284 0.174
59 S 0.803 0.224 0.698
60 S 0.804 0.633 0.538
61 S 0.847 0.423 0.953
62 S 0.852 0.937 0.697
63 S 0.875 0.110 0.961
64 S 0.879 0.364 0.476
65 S 0.908 0.566 0.234
66 S 0.937 0.697 0.852
67 S 0.953 0.847 0.423
68 S 0.961 0.875 0.110

The formation energy is -1.958 eV/atom. Its space group is No. 146.

| no. | energy with MP2020 corrections (eV per atom) |
| --- | --- |
| 1 | -4.8437 |
| 2 | -5.3384 |
| 3 | -4.4444 |
| 4 | -4.4878 |
| 5 | -6.3504 |